# 1
A relaxed PuGa6 crystal. Source: the Materials Project, functional PBE-GGA.

## Properties
ΔE_f: -0.22 eV per atom
E: -4.849 eV per atom
Crystal system: tetragonal

Cell: 5.8935 5.8935 7.6876 Å, 90.00 90.00 90.00°
Last column: nearest neighbours and their distance in Å.
Sites, in units of the cell vectors:
Pu 0.2500 0.7500 0.0000  12 Ga 3.10-3.18
Pu 0.7500 0.2500 0.0000  12 Ga 3.10-3.18
Ga 0.0661 0.5661 0.3499  3 Ga 2.56-2.62
Ga 0.0661 0.9339 0.6501  3 Ga 2.56-2.62
Ga 0.2500 0.2500 0.1570  5 Ga 2.41-2.62
Ga 0.2500 0.2500 0.8430  5 Ga 2.41-2.62
Ga 0.4339 0.5661 0.6501  3 Ga 2.56-2.62
Ga 0.4339 0.9339 0.3499  3 Ga 2.56-2.62
Ga 0.5661 0.0661 0.6501  3 Ga 2.56-2.62
Ga 0.5661 0.4339 0.3499  3 Ga 2.56-2.62
Ga 0.7500 0.7500 0.1570  5 Ga 2.41-2.62
Ga 0.7500 0.7500 0.8430  5 Ga 2.41-2.62
Ga 0.9339 0.0661 0.3499  3 Ga 2.56-2.62
Ga 0.9339 0.4339 0.6501  3 Ga 2.56-2.62

# 2
A relaxed Na3LaZr3P6O24 crystal. Source: the Materials Project, functional PBE-GGA.

## Properties
ΔE_f: -3.13 eV per atom
E: -7.700 eV per atom
Crystal system: triclinic

Cell: 9.0831 9.1252 23.4369 Å, 90.18 90.02 119.71°
Last column: nearest neighbours and their distance in Å.
Sites, in units of the cell vectors:
Na 0.0000 0.0000 0.0000  3 O 2.47-2.51
Na 0.0128 0.0131 0.4995  6 O 2.49-2.74
Na 0.3199 0.6524 0.1615  5 O 2.57-2.84
Na 0.3337 0.6513 0.6625  6 O 2.64-2.86
Na 0.3712 0.0046 0.7464  3 O 2.34-2.39
Na 0.6469 0.0068 0.2428  3 O 2.29-2.51
Na 0.6662 0.3348 0.3252  6 O 2.60-2.78
Na 0.6807 0.3475 0.8325  6 O 2.58-2.75
Na 0.7029 0.6730 0.4126  3 O 2.35-2.39
La 0.0177 0.0127 0.3516  6 O 2.25-2.46
La 0.6662 0.3458 0.1715  6 O 2.30-2.43
La 0.6779 0.3462 0.6813  6 O 2.29-2.46
Zr 0.0032 0.9996 0.1432  6 O 2.10-2.16
Zr 0.3230 0.6603 0.3102  6 O 2.09-2.17
Zr 0.3312 0.6708 0.5171  6 O 2.05-2.09
Zr 0.3330 0.6592 0.8122  6 O 2.06-2.19
Zr 0.3355 0.6699 0.0111  6 O 2.07-2.10
Zr 0.6653 0.3314 0.9790  6 O 2.09-2.18
Zr 0.6657 0.3249 0.4803  6 O 2.06-2.19
Zr 0.9951 0.9988 0.6435  6 O 2.10-2.15
Zr 0.9968 0.0010 0.8540  6 O 2.07-2.13
P 0.0062 0.2995 0.2446  4 O 1.52-1.57
P 0.0109 0.7224 0.7504  4 O 1.52-1.58
P 0.0323 0.6494 0.4162  4 O 1.52-1.57
P 0.0388 0.3772 0.9130  4 O 1.52-1.57
P 0.2753 0.2855 0.7493  4 O 1.53-1.57
P 0.2987 0.9899 0.2444  4 O 1.52-1.57
P 0.3382 0.9620 0.9111  4 O 1.53-1.57
P 0.3484 0.3885 0.4172  4 O 1.52-1.57
P 0.3559 0.3317 0.0757  4 O 1.52-1.57
P 0.3633 0.0349 0.5819  4 O 1.52-1.57
P 0.6108 0.9575 0.4138  4 O 1.53-1.57
P 0.6255 0.6619 0.9132  4 O 1.52-1.57
P 0.6684 0.0293 0.0791  4 O 1.52-1.57
P 0.6707 0.6385 0.5764  4 O 1.52-1.57
P 0.6986 0.7082 0.2499  4 O 1.52-1.58
P 0.7052 0.9875 0.7496  4 O 1.53-1.58
P 0.9701 0.3299 0.5784  4 O 1.52-1.56
P 0.9723 0.6407 0.0761  4 O 1.52-1.57
O 0.0004 0.7996 0.4174  1 P 1.53
O 0.0042 0.8203 0.8026  1 P 1.53
O 0.0188 0.1988 0.9067  1 P 1.55
O 0.0233 0.2020 0.1921  1 P 1.57
O 0.0254 0.8247 0.6953  1 P 1.56
O 0.1245 0.6425 0.3606  1 P 1.57
O 0.1264 0.4868 0.8590  1 P 1.57
O 0.1390 0.6605 0.4679  1 P 1.52
O 0.1501 0.4792 0.5682  1 P 1.54
O 0.1514 0.4643 0.9642  1 P 1.52
O 0.1514 0.6722 0.0623  1 P 1.54
O 0.1720 0.4741 0.2497  1 P 1.56
O 0.1737 0.1993 0.6940  1 P 1.56
O 0.1795 0.9835 0.9061  1 P 1.55
O 0.1800 0.1816 0.8016  1 P 1.53
O 0.1803 0.7144 0.7534  1 P 1.58
O 0.1823 0.1655 0.0805  1 P 1.56
O 0.1870 0.0235 0.5844  1 P 1.55
O 0.1883 0.9811 0.1920  1 P 1.56
O 0.1957 0.2122 0.4204  1 P 1.52
O 0.2264 0.0139 0.2997  1 P 1.52
O 0.2963 0.4663 0.7533  1 P 1.57
O 0.3025 0.8196 0.2479  1 P 1.57
O 0.3138 0.8471 0.9616  1 P 1.53
O 0.3270 0.4809 0.0623  1 P 1.54
O 0.3356 0.8562 0.5700  1 P 1.55
O 0.3459 0.4911 0.4681  1 P 1.52
O 0.3590 0.4882 0.3613  1 P 1.57
O 0.3607 0.8778 0.8557  1 P 1.57
O 0.4484 0.2934 0.7484  1 P 1.54
O 0.4491 0.3731 0.1323  1 P 1.52
O 0.4564 0.0948 0.6388  1 P 1.52
O 0.4620 0.3094 0.0272  1 P 1.57
O 0.4678 0.1579 0.5322  1 P 1.57
O 0.4837 0.1336 0.2398  1 P 1.54
O 0.4981 0.1379 0.9196  1 P 1.55
O 0.5084 0.8495 0.4642  1 P 1.53
O 0.5134 0.6391 0.8594  1 P 1.57
O 0.5133 0.8741 0.3570  1 P 1.57
O 0.5174 0.3810 0.4195  1 P 1.57
O 0.5176 0.8532 0.0644  1 P 1.55
O 0.5213 0.6722 0.5677  1 P 1.55
O 0.5248 0.7089 0.2504  1 P 1.58
O 0.5259 0.8236 0.7529  1 P 1.58
O 0.5396 0.6880 0.9647  1 P 1.52
O 0.6293 0.1363 0.4197  1 P 1.56
O 0.6329 0.0831 0.1367  1 P 1.52
O 0.6345 0.5350 0.6304  1 P 1.52
O 0.6433 0.5025 0.9195  1 P 1.55
O 0.6668 0.5286 0.2441  1 P 1.52
O 0.6740 0.1389 0.7491  1 P 1.54
O 0.6896 0.1584 0.0311  1 P 1.57
O 0.6931 0.5442 0.5240  1 P 1.57
O 0.7831 0.9653 0.4156  1 P 1.53
O 0.7866 0.7826 0.3071  1 P 1.53
O 0.7950 0.9775 0.6944  1 P 1.56
O 0.8032 0.8203 0.9067  1 P 1.55
O 0.8034 0.8270 0.1988  1 P 1.58
O 0.8111 0.9996 0.8022  1 P 1.53
O 0.8333 0.0170 0.0825  1 P 1.56
O 0.8356 0.8127 0.5831  1 P 1.56
O 0.8442 0.5362 0.0275  1 P 1.57
O 0.8481 0.3085 0.5280  1 P 1.56
O 0.8491 0.3192 0.2389  1 P 1.53
O 0.8552 0.4855 0.4191  1 P 1.56
O 0.8568 0.5458 0.7508  1 P 1.52
O 0.8604 0.3584 0.9197  1 P 1.55
O 0.9069 0.3659 0.6337  1 P 1.52
O 0.9205 0.5467 0.1324  1 P 1.52
O 0.9790 0.1646 0.5827  1 P 1.55
O 0.9794 0.8144 0.0817  1 P 1.56
O 0.9798 0.1981 0.2988  1 P 1.52

# 3
A relaxed ZnC2O4 crystal. Source: the Materials Project, functional PBE-GGA.

## Properties
ΔE_f: -1.62 eV per atom
E: -6.873 eV per atom
Crystal system: monoclinic

Cell: 5.3844 5.3117 6.3235 Å, 90.00 119.59 90.00°
Last column: nearest neighbours and their distance in Å.
Sites, in units of the cell vectors:
Zn 0.0000 0.0000 0.0000  4 O 2.00-2.16
Zn 0.0000 0.5000 0.5000  4 O 2.00-2.16
C 0.4544 0.1124 0.9100  2 O 1.27
C 0.4544 0.3876 0.4100  2 O 1.27
C 0.5456 0.6124 0.5900  2 O 1.27
C 0.5456 0.8876 0.0900  2 O 1.27
O 0.2012 0.1954 0.8242  1 C 1.27
O 0.2012 0.3046 0.3242  1 C 1.27
O 0.3610 0.6991 0.6392  1 C 1.27
O 0.3610 0.8009 0.1393  1 C 1.27
O 0.6390 0.1991 0.8608  1 C 1.27
O 0.6390 0.3009 0.3608  1 C 1.27
O 0.7988 0.6954 0.6758  1 C 1.27
O 0.7988 0.8046 0.1758  1 C 1.27

# 4
A relaxed NbCrSe5 crystal. Source: the Materials Project, functional PBE-GGA.

## Properties
ΔE_f: -0.92 eV per atom
E: -5.903 eV per atom
Crystal system: monoclinic

Cell: 9.5029 3.5500 10.5109 Å, 90.00 116.16 90.00°
Last column: nearest neighbours and their distance in Å.
Sites, in units of the cell vectors:
Nb 0.2277 0.2500 0.1364  8 Se 2.67-2.77
Nb 0.7723 0.7500 0.8636  8 Se 2.67-2.77
Cr 0.0692 0.7500 0.3955  6 Se 2.47-2.56
Cr 0.9308 0.2500 0.6045  6 Se 2.47-2.56
Se 0.0174 0.7500 0.1347  1 Cr 2.56, 3 Nb 2.67-2.77
Se 0.1358 0.7500 0.6508  3 Cr 2.47-2.52
Se 0.2662 0.2500 0.4117  2 Cr 2.53, 1 Nb 2.75
Se 0.3302 0.7500 0.0044  1 Se 2.39
Se 0.4610 0.7500 0.2577  1 Se 2.39
Se 0.5390 0.2500 0.7423  1 Se 2.39
Se 0.6698 0.2500 0.9956  1 Se 2.39
Se 0.7338 0.7500 0.5883  2 Cr 2.53, 1 Nb 2.75
Se 0.8642 0.2500 0.3492  3 Cr 2.47-2.52
Se 0.9826 0.2500 0.8653  1 Cr 2.56, 3 Nb 2.67-2.77

Q: Among the records above, which one has the lowest ΔE_f?
A: Na3LaZr3P6O24

Q: Look up the E of the fourth one.
A: -5.903 eV per atom

Q: What is the E in the fourth record?
A: -5.903 eV per atom